A plane-wave DFT calculation with GGA-PBE was carried out for a relaxed structure of GaNi.

As for the total energy: -4.769 eV per atom.

It has space group Pm-3m (No. 221), with a = 2.9136 Å, b = 2.9136 Å, c = 2.9136 Å, α = 90.00°, β = 90.00° and γ = 90.00°. The asymmetric unit holds Ga at (0.0000, 0.0000, 0.0000) and Ni at (0.5000, 0.5000, 0.5000).